Fe4Te2C11O11: optimized geometry, GGA+U.

Lattice parameters (Å, degrees): 6.9057 15.9008 17.4965 90.00 90.00 90.00
Sites, in units of the cell vectors:
1 Fe 0.1743 0.1659 0.1913
2 Fe 0.1743 0.3341 0.6913
3 Fe 0.1815 0.1750 0.3454
4 Fe 0.1815 0.3250 0.8454
5 Fe 0.3185 0.1750 0.8454
6 Fe 0.3185 0.3250 0.3454
7 Fe 0.3257 0.1659 0.6913
8 Fe 0.3257 0.3341 0.1913
9 Fe 0.6743 0.6659 0.8087
10 Fe 0.6743 0.8341 0.3087
11 Fe 0.6815 0.6750 0.6546
12 Fe 0.6815 0.8250 0.1546
13 Fe 0.8185 0.6750 0.1546
14 Fe 0.8185 0.8250 0.6546
15 Fe 0.8257 0.6659 0.3087
16 Fe 0.8257 0.8341 0.8087
17 Te 0.0110 0.2092 0.7610
18 Te 0.0110 0.2908 0.2610
19 Te 0.4890 0.2092 0.2610
20 Te 0.4890 0.2908 0.7610
21 Te 0.5110 0.7092 0.2390
22 Te 0.5110 0.7908 0.7390
23 Te 0.9890 0.7092 0.7390
24 Te 0.9890 0.7908 0.2390
25 C 0.0205 0.6694 0.3761
26 C 0.0205 0.8306 0.8761
27 C 0.0449 0.6452 0.1124
28 C 0.0449 0.8548 0.6124
29 C 0.0987 0.0740 0.2406
30 C 0.0987 0.4260 0.7406
31 C 0.1744 0.1148 0.6223
32 C 0.1744 0.3852 0.1223
33 C 0.2007 0.0875 0.8902
34 C 0.2007 0.4125 0.3902
35 C 0.2500 0.2500 0.4275
36 C 0.2500 0.2500 0.9275
37 C 0.2993 0.0875 0.3902
38 C 0.2993 0.4125 0.8902
39 C 0.3256 0.1148 0.1223
40 C 0.3256 0.3852 0.6223
41 C 0.4013 0.0740 0.7406
42 C 0.4013 0.4260 0.2406
43 C 0.4551 0.6452 0.6124
44 C 0.4551 0.8548 0.1124
45 C 0.4795 0.6694 0.8761
46 C 0.4795 0.8306 0.3761
47 C 0.5205 0.1694 0.6239
48 C 0.5205 0.3306 0.1239
49 C 0.5449 0.1452 0.8876
50 C 0.5449 0.3548 0.3876
51 C 0.5987 0.5740 0.7594
52 C 0.5987 0.9260 0.2594
53 C 0.6744 0.6148 0.3777
54 C 0.6744 0.8852 0.8777
55 C 0.7007 0.5875 0.1098
56 C 0.7007 0.9125 0.6098
57 C 0.7500 0.7500 0.0725
58 C 0.7500 0.7500 0.5725
59 C 0.7993 0.5875 0.6098
60 C 0.7993 0.9125 0.1098
61 C 0.8256 0.6148 0.8777
62 C 0.8256 0.8852 0.3777
63 C 0.9013 0.5740 0.2594
64 C 0.9013 0.9260 0.7594
65 C 0.9551 0.1452 0.3876
66 C 0.9551 0.3548 0.8876
67 C 0.9795 0.1694 0.1239
68 C 0.9795 0.3306 0.6239
69 O 0.0435 0.0058 0.2541
70 O 0.0435 0.4942 0.7541
71 O 0.0807 0.0802 0.5772
72 O 0.0807 0.4198 0.0772
73 O 0.1260 0.0317 0.9208
74 O 0.1260 0.4683 0.4208
75 O 0.1457 0.6688 0.4203
76 O 0.1457 0.8312 0.9203
77 O 0.1907 0.6267 0.0841
78 O 0.1907 0.8733 0.5841
79 O 0.2500 0.2500 0.4954
80 O 0.2500 0.2500 0.9954
81 O 0.3093 0.6267 0.5841
82 O 0.3093 0.8733 0.0841
83 O 0.3543 0.6688 0.9203
84 O 0.3543 0.8312 0.4203
85 O 0.3740 0.0317 0.4208
86 O 0.3740 0.4683 0.9208
87 O 0.4193 0.0802 0.0772
88 O 0.4193 0.4198 0.5772
89 O 0.4565 0.0058 0.7541
90 O 0.4565 0.4942 0.2541
91 O 0.5435 0.5058 0.7459
92 O 0.5435 0.9942 0.2459
93 O 0.5807 0.5802 0.4228
94 O 0.5807 0.9198 0.9228
95 O 0.6260 0.5317 0.0792
96 O 0.6260 0.9683 0.5792
97 O 0.6457 0.1688 0.5797
98 O 0.6457 0.3312 0.0797
99 O 0.6907 0.1267 0.9159
100 O 0.6907 0.3733 0.4159
101 O 0.7500 0.7500 0.0046
102 O 0.7500 0.7500 0.5046
103 O 0.8093 0.1267 0.4159
104 O 0.8093 0.3733 0.9159
105 O 0.8543 0.1688 0.0797
106 O 0.8543 0.3312 0.5797
107 O 0.8740 0.5317 0.5792
108 O 0.8740 0.9683 0.0792
109 O 0.9193 0.5802 0.9228
110 O 0.9193 0.9198 0.4228
111 O 0.9565 0.5058 0.2459
112 O 0.9565 0.9942 0.7459

## Properties
Symmetry: Pccn
Formation enthalpy at 0 K (meV per atom): -396